First-principles (PBE-GGA) data for a relaxed Ce2MgNb2O8 crystal, as listed in the Materials Project.

Geometry as extended XYZ:
```
13
Lattice="5.057 0.036 -1.920 -1.252 5.121 -2.174 -0.097 -0.051 6.942" Properties=species:S:1:pos:R:3 pbc="T T T"
O 1.985 1.669 2.224
O 2.483 4.478 3.055
O 1.199 0.760 -0.246
O 4.383 1.023 0.646
O -0.583 3.704 2.145
O 1.536 3.650 0.348
O 0.181 2.715 4.834
O 3.524 2.286 -1.911
Ce 4.164 0.590 3.176
Ce -0.545 4.402 -0.563
Mg 0.240 2.066 0.954
Nb 2.780 2.089 0.024
Nb 1.077 3.203 3.225
```

energy of formation	-3062	meV per atom